Compound: Ca3Bi2As2O12
Source: Materials Project
Functional: PBE
Structure: relaxed

```
data_Ca3Bi2As2O12
_symmetry_space_group_name_H-M 'P 1'
_symmetry_Int_Tables_number 1
_symmetry_space_group_name_Hall 'P 1'
_cell_length_a 5.5166
_cell_length_b 7.2035
_cell_length_c 7.6611
_cell_angle_alpha 76.77
_cell_angle_beta 88.43
_cell_angle_gamma 88.44
loop_
_atom_site_label
_atom_site_type_symbol
_atom_site_fract_x
_atom_site_fract_y
_atom_site_fract_z
Ca1 Ca 0.0000 0.0000 0.0000
Ca2 Ca 0.0020 0.6325 0.3923
Ca3 Ca 0.4968 0.2006 0.2301
Bi1 Bi 0.4809 0.3135 0.7178
Bi2 Bi 0.9666 0.5100 0.8743
As1 As 0.0350 0.1194 0.4963
As2 As 0.5556 0.7217 0.1124
O1 O 0.1124 0.9718 0.3547
O2 O 0.1597 0.0509 0.7064
O3 O 0.1864 0.3268 0.3984
O4 O 0.2388 0.5556 0.6592
O5 O 0.2431 0.7211 0.1037
O6 O 0.2449 0.2750 0.9655
O7 O 0.6639 0.8858 0.2206
O8 O 0.6797 0.5042 0.2167
O9 O 0.7064 0.7857 0.9047
O10 O 0.7209 0.1487 0.5107
O11 O 0.7327 0.2576 0.9433
O12 O 0.7534 0.5228 0.6376
```

Summary:
calculated formation energy = -2.223 eV per atom